[1]
## Na4Mg3ZrP2S4O24 (PBE)

Data for a relaxed Na4Mg3ZrP2S4O24 crystal.

Calculated values
E_tot ... -245.1 eV per formula unit
V ... 13.60 Å³ per atom
Calculated formation energy ... -2.55 eV per atom

```
data_Na4Mg3ZrP2S4O24
_chemical_formula_sum 'Na12 Mg9 Zr3 P6 S12 O72'
_symmetry_space_group_name_H-M 'P 1'
_symmetry_Int_Tables_number 1
_symmetry_space_group_name_Hall 'P 1'
_cell_length_a 8.8642
_cell_length_b 8.8762
_cell_length_c 22.7418
_cell_angle_alpha 89.68
_cell_angle_beta 89.88
_cell_angle_gamma 60.08
loop_
_atom_site_label
_atom_site_type_symbol
_atom_site_fract_x
_atom_site_fract_y
_atom_site_fract_z
Na1 Na 0.0000 0.0000 0.0000
Na2 Na 0.0042 0.3780 0.2467
Na3 Na 0.0140 0.0050 0.4996
Na4 Na 0.0351 0.3228 0.9060
Na5 Na 0.2962 0.6810 0.9139
Na6 Na 0.3359 0.3437 0.8288
Na7 Na 0.3477 0.3368 0.3353
Na8 Na 0.3680 0.6475 0.2429
Na9 Na 0.6634 0.6912 0.1623
Na10 Na 0.6688 0.6729 0.6731
Na11 Na 0.7058 0.9913 0.5837
Na12 Na 0.9788 0.3374 0.5867
Mg1 Mg 0.0012 0.0144 0.3493
Mg2 Mg 0.0090 0.0050 0.1425
Mg3 Mg 0.0110 0.0139 0.6477
Mg4 Mg 0.3362 0.3559 0.9828
Mg5 Mg 0.3375 0.3496 0.4815
Mg6 Mg 0.3478 0.3454 0.1753
Mg7 Mg 0.6700 0.6894 0.3165
Mg8 Mg 0.6880 0.6735 0.8086
Mg9 Mg 0.9981 0.0129 0.8423
Zr1 Zr 0.3302 0.3495 0.6838
Zr2 Zr 0.6649 0.6810 0.5160
Zr3 Zr 0.6728 0.6842 0.0175
P1 P 0.0499 0.6446 0.5771
P2 P 0.3314 0.0594 0.5781
P3 P 0.3319 0.6442 0.0807
P4 P 0.6300 0.3415 0.5786
P5 P 0.9666 0.6820 0.9115
P6 P 0.9970 0.3069 0.7477
S1 S 0.0015 0.7234 0.2471
S2 S 0.0493 0.3408 0.0813
S3 S 0.2957 0.0151 0.2469
S4 S 0.2993 0.7257 0.7486
S5 S 0.3727 0.6801 0.4095
S6 S 0.3788 0.9763 0.9116
S7 S 0.6290 0.0622 0.0805
S8 S 0.6701 0.3864 0.9122
S9 S 0.6702 0.9792 0.4114
S10 S 0.7135 0.3032 0.2470
S11 S 0.7146 0.0104 0.7465
S12 S 0.9695 0.3828 0.4106
O1 O 0.0134 0.8296 0.5869
O2 O 0.0235 0.1901 0.0876
O3 O 0.0281 0.2005 0.8046
O4 O 0.0331 0.8022 0.2994
O5 O 0.1257 0.5248 0.6325
O6 O 0.1268 0.3690 0.1349
O7 O 0.1413 0.3688 0.4171
O8 O 0.1492 0.5143 0.9196
O9 O 0.1504 0.3206 0.0274
O10 O 0.1558 0.5592 0.5232
O11 O 0.1611 0.5426 0.2415
O12 O 0.1672 0.3256 0.7422
O13 O 0.1732 0.0373 0.5867
O14 O 0.1734 0.8270 0.0860
O15 O 0.1859 0.0450 0.2998
O16 O 0.1962 0.7980 0.8030
O17 O 0.2009 0.8397 0.4057
O18 O 0.2019 0.9928 0.9084
O19 O 0.2143 0.8274 0.6957
O20 O 0.2159 0.9849 0.1945
O21 O 0.3039 0.1712 0.5241
O22 O 0.3123 0.1744 0.2396
O23 O 0.3146 0.5591 0.0246
O24 O 0.3182 0.5458 0.7428
O25 O 0.3565 0.1517 0.9205
O26 O 0.3591 0.5227 0.4172
O27 O 0.3652 0.5367 0.1375
O28 O 0.3737 0.1370 0.6331
O29 O 0.4605 0.8636 0.9656
O30 O 0.4621 0.7039 0.4625
O31 O 0.4715 0.8549 0.2541
O32 O 0.4745 0.7055 0.7544
O33 O 0.4797 0.6581 0.3565
O34 O 0.4856 0.8914 0.8601
O35 O 0.5019 0.6615 0.0731
O36 O 0.5035 0.8769 0.5723
O37 O 0.5130 0.1511 0.4177
O38 O 0.5137 0.3686 0.9209
O39 O 0.5164 0.3763 0.6342
O40 O 0.5230 0.1348 0.1336
O41 O 0.5333 0.3299 0.2414
O42 O 0.5365 0.1732 0.7419
O43 O 0.5468 0.1610 0.0269
O44 O 0.5482 0.3132 0.5247
O45 O 0.6370 0.5008 0.8611
O46 O 0.6478 0.8906 0.3607
O47 O 0.6488 0.8811 0.0754
O48 O 0.6562 0.5048 0.5724
O49 O 0.6885 0.8590 0.7526
O50 O 0.6932 0.4844 0.2528
O51 O 0.6943 0.8711 0.4666
O52 O 0.6988 0.4703 0.9659
O53 O 0.7945 0.0367 0.7985
O54 O 0.7951 0.1996 0.3002
O55 O 0.8046 0.0403 0.0868
O56 O 0.8134 0.9891 0.6917
O57 O 0.8145 0.1839 0.5861
O58 O 0.8229 0.2249 0.1945
O59 O 0.8302 0.9911 0.4065
O60 O 0.8312 0.2152 0.9075
O61 O 0.8383 0.4906 0.7514
O62 O 0.8482 0.6958 0.2539
O63 O 0.8526 0.7048 0.9678
O64 O 0.8590 0.4694 0.4645
O65 O 0.8626 0.6583 0.5714
O66 O 0.8712 0.5036 0.0756
O67 O 0.8781 0.6487 0.8603
O68 O 0.8828 0.4910 0.3578
O69 O 0.9767 0.8279 0.1941
O70 O 0.9820 0.2108 0.4063
O71 O 0.9822 0.2225 0.6911
O72 O 0.9925 0.8416 0.9074
```

[2]
## Na5Mg3ZrP3S3O24 (PBE)

Data for a relaxed Na5Mg3ZrP3S3O24 crystal.

Calculated values
E_tot ... -253.3 eV per formula unit
V ... 13.35 Å³ per atom
Calculated formation energy ... -2.63 eV per atom

```
data_Na5Mg3ZrP3S3O24
_chemical_formula_sum 'Na15 Mg9 Zr3 P9 S9 O72'
_symmetry_space_group_name_H-M 'P 1'
_symmetry_Int_Tables_number 1
_symmetry_space_group_name_Hall 'P 1'
_cell_length_a 8.9384
_cell_length_b 8.9463
_cell_length_c 22.5276
_cell_angle_alpha 89.92
_cell_angle_beta 89.87
_cell_angle_gamma 60.10
loop_
_atom_site_label
_atom_site_type_symbol
_atom_site_fract_x
_atom_site_fract_y
_atom_site_fract_z
Na1 Na 0.0000 0.0000 0.0000
Na2 Na 0.0006 0.3581 0.2610
Na3 Na 0.0039 0.3681 0.7617
Na4 Na 0.0225 0.0431 0.3445
Na5 Na 0.2993 0.0432 0.8393
Na6 Na 0.3294 0.3274 0.6759
Na7 Na 0.3312 0.0636 0.1733
Na8 Na 0.3452 0.6833 0.4347
Na9 Na 0.3462 0.6669 0.9243
Na10 Na 0.6653 0.0439 0.0839
Na11 Na 0.6691 0.0164 0.5911
Na12 Na 0.6765 0.6602 0.3502
Na13 Na 0.6997 0.7040 0.6666
Na14 Na 0.9672 0.7054 0.1699
Na15 Na 0.9758 0.0558 0.6745
Mg1 Mg 0.0013 0.3713 0.4076
Mg2 Mg 0.0019 0.3706 0.6032
Mg3 Mg 0.3351 0.6953 0.0693
Mg4 Mg 0.3352 0.7064 0.5704
Mg5 Mg 0.6656 0.0382 0.9360
Mg6 Mg 0.6689 0.0318 0.7433
Mg7 Mg 0.6739 0.0370 0.2408
Mg8 Mg 0.9967 0.3587 0.1024
Mg9 Mg 0.9991 0.3697 0.9032
Zr1 Zr 0.3193 0.6994 0.7769
Zr2 Zr 0.3313 0.6985 0.2764
Zr3 Zr 0.6655 0.0281 0.4435
P1 P 0.0360 0.9958 0.1692
P2 P 0.0375 0.6986 0.6686
P3 P 0.3363 0.9932 0.6716
P4 P 0.3717 0.0395 0.3352
P5 P 0.3737 0.3200 0.8393
P6 P 0.6729 0.3214 0.3388
P7 P 0.7029 0.6529 0.5061
P8 P 0.9566 0.0398 0.8407
P9 P 0.9569 0.7348 0.3365
S1 S 0.9997 0.6590 0.0076
S2 S 0.0055 0.0705 0.5058
S3 S 0.2914 0.3703 0.5071
S4 S 0.3002 0.0678 0.0067
S5 S 0.3365 0.4011 0.1694
S6 S 0.6281 0.4036 0.6707
S7 S 0.6314 0.6957 0.1704
S8 S 0.6723 0.7365 0.8392
S9 S 0.7060 0.3661 0.0058
O1 O 0.0179 0.5514 0.9560
O2 O 0.0197 0.5353 0.6661
O3 O 0.0213 0.1532 0.4510
O4 O 0.0297 0.1711 0.1662
O5 O 0.1268 0.8784 0.1158
O6 O 0.1276 0.7273 0.6164
O7 O 0.1385 0.7238 0.3321
O8 O 0.1483 0.8739 0.8353
O9 O 0.1547 0.6687 0.7254
O10 O 0.1549 0.9019 0.2260
O11 O 0.1563 0.6809 0.0105
O12 O 0.1560 0.8955 0.5096
O13 O 0.1697 0.1720 0.6662
O14 O 0.1745 0.3904 0.1662
O15 O 0.1882 0.1524 0.9544
O16 O 0.1883 0.1869 0.3446
O17 O 0.1904 0.3437 0.8457
O18 O 0.1905 0.3837 0.4541
O19 O 0.2190 0.3410 0.5620
O20 O 0.2197 0.1705 0.0618
O21 O 0.3092 0.9082 0.7296
O22 O 0.3100 0.8953 0.0121
O23 O 0.3127 0.5093 0.2240
O24 O 0.3133 0.5223 0.5114
O25 O 0.3572 0.5042 0.8334
O26 O 0.3598 0.4855 0.1178
O27 O 0.3598 0.8666 0.3317
O28 O 0.3693 0.8721 0.6198
O29 O 0.4502 0.2171 0.7812
O30 O 0.4516 0.0572 0.2778
O31 O 0.4697 0.2105 0.5012
O32 O 0.4743 0.0460 0.0009
O33 O 0.4854 0.2255 0.1759
O34 O 0.4848 0.2345 0.8934
O35 O 0.4934 0.0035 0.3891
O36 O 0.4966 0.0157 0.6783
O37 O 0.5095 0.7224 0.8341
O38 O 0.5112 0.5080 0.3323
O39 O 0.5184 0.4844 0.6188
O40 O 0.5188 0.7176 0.1202
O41 O 0.5204 0.6782 0.5104
O42 O 0.5317 0.5195 0.0125
O43 O 0.5479 0.5132 0.7247
O44 O 0.5533 0.6714 0.2266
O45 O 0.6413 0.8494 0.8907
O46 O 0.6421 0.2387 0.3944
O47 O 0.6429 0.8563 0.1754
O48 O 0.6472 0.2293 0.6779
O49 O 0.6850 0.8407 0.4999
O50 O 0.6927 0.2054 0.0014
O51 O 0.6925 0.8119 0.7833
O52 O 0.7008 0.2120 0.2840
O53 O 0.7895 0.3882 0.9528
O54 O 0.7899 0.5545 0.4487
O55 O 0.8032 0.3842 0.6656
O56 O 0.8077 0.5460 0.1656
O57 O 0.8104 0.5750 0.5625
O58 O 0.8136 0.3395 0.0595
O59 O 0.8222 0.5634 0.8461
O60 O 0.8314 0.3456 0.3455
O61 O 0.8439 0.0548 0.5015
O62 O 0.8454 0.8363 0.0031
O63 O 0.8539 0.8127 0.2796
O64 O 0.8578 0.8608 0.6774
O65 O 0.8594 0.0531 0.7832
O66 O 0.8601 0.0064 0.1768
O67 O 0.8709 0.8592 0.3901
O68 O 0.8816 0.0076 0.8971
O69 O 0.9785 0.5568 0.3453
O70 O 0.9831 0.1734 0.5596
O71 O 0.9825 0.5794 0.0638
O72 O 0.9892 0.1934 0.8454
```

[3]
## Na3Mg2Zr2P3S3O24 (PBE)

Data for a relaxed Na3Mg2Zr2P3S3O24 crystal.

Calculated values
E_tot ... -255.7 eV per formula unit
V ... 14.07 Å³ per atom
Calculated formation energy ... -2.72 eV per atom

```
data_Na3Mg2Zr2P3S3O24
_chemical_formula_sum 'Na9 Mg6 Zr6 P9 S9 O72'
_symmetry_space_group_name_H-M 'P 1'
_symmetry_Int_Tables_number 1
_symmetry_space_group_name_Hall 'P 1'
_cell_length_a 8.8403
_cell_length_b 8.8591
_cell_length_c 23.0035
_cell_angle_alpha 89.90
_cell_angle_beta 89.95
_cell_angle_gamma 60.11
loop_
_atom_site_label
_atom_site_type_symbol
_atom_site_fract_x
_atom_site_fract_y
_atom_site_fract_z
Na1 Na 0.0000 0.0000 0.0000
Na2 Na 0.0023 0.0076 0.4998
Na3 Na 0.3113 0.6673 0.5830
Na4 Na 0.3275 0.3387 0.1638
Na5 Na 0.3400 0.3239 0.6643
Na6 Na 0.6596 0.6799 0.8343
Na7 Na 0.6657 0.6807 0.3347
Na8 Na 0.7009 0.3374 0.4187
Na9 Na 0.9668 0.3373 0.9188
Mg1 Mg 0.0006 0.9980 0.8490
Mg2 Mg 0.0057 0.9978 0.3488
Mg3 Mg 0.3285 0.3388 0.0209
Mg4 Mg 0.3395 0.3235 0.5211
Mg5 Mg 0.6623 0.6766 0.4863
Mg6 Mg 0.6659 0.6713 0.9858
Zr1 Zr 0.0002 0.0109 0.1495
Zr2 Zr 0.3300 0.3371 0.3123
Zr3 Zr 0.3370 0.3370 0.8126
Zr4 Zr 0.6587 0.6744 0.6879
Zr5 Zr 0.6761 0.6639 0.1881
Zr6 Zr 0.9946 0.0174 0.6502
P1 P 0.2861 0.7182 0.7525
P2 P 0.2913 0.0000 0.2533
P3 P 0.3766 0.9659 0.5819
P4 P 0.6639 0.3804 0.5803
P5 P 0.7122 0.2929 0.2545
P6 P 0.7139 0.0010 0.7536
P7 P 0.9630 0.3802 0.0804
P8 P 0.9973 0.2970 0.7552
P9 P 0.9993 0.7195 0.2529
S1 S 0.0394 0.3382 0.4198
S2 S 0.0408 0.6332 0.9196
S3 S 0.3306 0.6333 0.4199
S4 S 0.3354 0.0425 0.9197
S5 S 0.3774 0.6674 0.0823
S6 S 0.6266 0.3375 0.9201
S7 S 0.6278 0.0424 0.4191
S8 S 0.6632 0.9644 0.0822
S9 S 0.9597 0.6679 0.5823
O1 O 0.0176 0.1828 0.4129
O2 O 0.0225 0.8060 0.9118
O3 O 0.0282 0.7982 0.1968
O4 O 0.0287 0.1846 0.6997
O5 O 0.1243 0.3614 0.3663
O6 O 0.1242 0.5188 0.8666
O7 O 0.1379 0.5156 0.5768
O8 O 0.1450 0.3592 0.0779
O9 O 0.1489 0.3149 0.4706
O10 O 0.1501 0.5472 0.9707
O11 O 0.1615 0.5326 0.2584
O12 O 0.1633 0.3154 0.7591
O13 O 0.1731 0.0317 0.9123
O14 O 0.1761 0.8060 0.4119
O15 O 0.1799 0.0323 0.1974
O16 O 0.1830 0.7925 0.6949
O17 O 0.1951 0.9738 0.5911
O18 O 0.1996 0.8259 0.0897
O19 O 0.2062 0.8269 0.8058
O20 O 0.2106 0.9738 0.3070
O21 O 0.3057 0.1567 0.9702
O22 O 0.3078 0.5501 0.4724
O23 O 0.3102 0.5318 0.7584
O24 O 0.3110 0.1656 0.2581
O25 O 0.3519 0.1479 0.5780
O26 O 0.3593 0.5114 0.0771
O27 O 0.3597 0.1272 0.8661
O28 O 0.3598 0.5174 0.3676
O29 O 0.4562 0.6986 0.0312
O30 O 0.4564 0.8462 0.5300
O31 O 0.4731 0.6916 0.7453
O32 O 0.4751 0.8420 0.2430
O33 O 0.4809 0.6470 0.1361
O34 O 0.4869 0.8774 0.6378
O35 O 0.4914 0.8693 0.9252
O36 O 0.4950 0.3703 0.5771
O37 O 0.4949 0.6421 0.4232
O38 O 0.5099 0.1399 0.0770
O39 O 0.5180 0.1279 0.3658
O40 O 0.5185 0.3615 0.8666
O41 O 0.5263 0.3153 0.2588
O42 O 0.5280 0.1655 0.7583
O43 O 0.5404 0.3139 0.9710
O44 O 0.5440 0.1567 0.4697
O45 O 0.6394 0.8830 0.1360
O46 O 0.6396 0.4948 0.6354
O47 O 0.6451 0.8694 0.4246
O48 O 0.6462 0.4952 0.9238
O49 O 0.6871 0.4776 0.2446
O50 O 0.6895 0.8414 0.7446
O51 O 0.6913 0.8556 0.0312
O52 O 0.6968 0.4576 0.5257
O53 O 0.7927 0.0319 0.6974
O54 O 0.7939 0.1823 0.1991
O55 O 0.8006 0.0322 0.4119
O56 O 0.8038 0.1828 0.9131
O57 O 0.8160 0.2178 0.3098
O58 O 0.8201 0.9755 0.8072
O59 O 0.8245 0.9792 0.0897
O60 O 0.8265 0.1964 0.5896
O61 O 0.8388 0.4794 0.7444
O62 O 0.8387 0.6936 0.2444
O63 O 0.8512 0.4588 0.0262
O64 O 0.8516 0.6971 0.5313
O65 O 0.8627 0.4955 0.4236
O66 O 0.8670 0.6434 0.9241
O67 O 0.8689 0.4923 0.1356
O68 O 0.8802 0.6443 0.6360
O69 O 0.9700 0.8255 0.3069
O70 O 0.9711 0.2183 0.8101
O71 O 0.9777 0.1972 0.0903
O72 O 0.9824 0.8255 0.5893
```